# 1
DFT (PBE with a Hubbard U) results for Ba3Nd3Co6O17 after structural relaxation.

Unit cell a=8.602 b=8.602 c=9.496 alpha=121.36 beta=121.36 gamma=38.23
Sites, in units of the cell vectors:
Ba: 0.000 0.000 0.000
Ba: 0.333 0.333 0.668
Ba: 0.667 0.667 0.332
Nd: 0.174 0.174 0.849
Nd: 0.500 0.500 0.500
Nd: 0.826 0.826 0.151
Co: 0.081 0.081 0.418
Co: 0.253 0.253 0.253
Co: 0.418 0.418 0.089
Co: 0.582 0.582 0.911
Co: 0.747 0.747 0.747
Co: 0.919 0.919 0.582
O: 0.078 0.572 0.927
O: 0.089 0.619 0.411
O: 0.176 0.176 0.334
O: 0.232 0.751 0.270
O: 0.249 0.768 0.730
O: 0.332 0.332 0.165
O: 0.381 0.911 0.589
O: 0.428 0.922 0.073
O: 0.500 0.500 0.000
O: 0.572 0.078 0.927
O: 0.619 0.089 0.411
O: 0.668 0.668 0.835
O: 0.751 0.232 0.270
O: 0.768 0.249 0.730
O: 0.824 0.824 0.666
O: 0.911 0.381 0.589
O: 0.922 0.428 0.073

E_form (meV per atom): -2267
Distance to the lowest polymorph of the same formula (eV per atom): 0.0000


# 2
DFT (PBE with a Hubbard U) results for BaNd4Co5O15 after structural relaxation.

Unit cell a=9.416 b=9.416 c=13.429 alpha=116.38 beta=116.38 gamma=34.09
Sites, in units of the cell vectors:
Ba: 0.008 0.992 0.750
Ba: 0.992 0.008 0.250
Nd: 0.195 0.211 0.053
Nd: 0.211 0.195 0.553
Nd: 0.398 0.405 0.857
Nd: 0.405 0.398 0.357
Nd: 0.595 0.602 0.643
Nd: 0.602 0.595 0.143
Nd: 0.789 0.805 0.447
Nd: 0.805 0.789 0.947
Co: 0.000 0.000 0.000
Co: 0.000 0.000 0.500
Co: 0.194 0.207 0.302
Co: 0.207 0.194 0.802
Co: 0.395 0.405 0.100
Co: 0.405 0.395 0.600
Co: 0.595 0.605 0.400
Co: 0.605 0.595 0.900
Co: 0.793 0.806 0.198
Co: 0.806 0.793 0.698
O: 0.027 0.180 0.647
O: 0.031 0.506 0.783
O: 0.080 0.583 0.119
O: 0.123 0.587 0.670
O: 0.167 0.693 0.024
O: 0.180 0.027 0.147
O: 0.220 0.385 0.450
O: 0.250 0.680 0.561
O: 0.307 0.833 0.476
O: 0.320 0.750 0.939
O: 0.385 0.220 0.950
O: 0.413 0.877 0.830
O: 0.417 0.920 0.381
O: 0.463 0.537 0.250
O: 0.494 0.969 0.717
O: 0.506 0.031 0.283
O: 0.537 0.463 0.750
O: 0.583 0.080 0.619
O: 0.587 0.123 0.170
O: 0.615 0.780 0.050
O: 0.680 0.250 0.061
O: 0.693 0.167 0.524
O: 0.750 0.320 0.439
O: 0.780 0.615 0.550
O: 0.820 0.973 0.853
O: 0.833 0.307 0.976
O: 0.877 0.413 0.330
O: 0.920 0.417 0.881
O: 0.969 0.494 0.217
O: 0.973 0.820 0.353

E_form (meV per atom): -2343


Look up the E_form of the first one.
-2267 meV per atom